1.
Here is a geometry-optimized Ba2PrZrO6 structure from the Materials Project database. Energies are from PBE.

DFT formation energy: -3167 kJ/mol of formula units
total moment: 4.0 Bohr magnetons per cell
MP2020-corrected energy: -7.968 eV/atom
energy: -7.556 eV per atom

abc: 8.8542 8.8542 8.8542
angles: 90.00 90.00 90.00
Closest atoms and distances in Å follow each position.
Fractional coordinates of all 40 atoms:
Ba  0.2500  0.2500  0.2500  12 O 3.13
Ba  0.2500  0.2500  0.7500  4 O 2.80
Ba  0.2500  0.7500  0.2500  4 O 2.80
Ba  0.2500  0.7500  0.7500  4 O 2.80
Ba  0.7500  0.2500  0.2500  4 O 2.80
Ba  0.7500  0.2500  0.7500  4 O 2.80
Ba  0.7500  0.7500  0.2500  4 O 2.80
Ba  0.7500  0.7500  0.7500  12 O 3.13
Pr  0.0000  0.0000  0.0000  6 O 2.35
Pr  0.0000  0.5000  0.5000  6 O 2.35
Pr  0.5000  0.0000  0.5000  6 O 2.35
Pr  0.5000  0.5000  0.0000  6 O 2.35
Zr  0.0000  0.0000  0.5000  6 O 2.12
Zr  0.0000  0.5000  0.0000  6 O 2.12
Zr  0.5000  0.0000  0.0000  6 O 2.12
Zr  0.5000  0.5000  0.5000  6 O 2.12
O  0.0247  0.5281  0.7632  1 Zr 2.12, 1 Pr 2.35
O  0.0247  0.9719  0.7368  1 Zr 2.12, 1 Pr 2.35
O  0.0281  0.2368  0.5247  1 Zr 2.12, 1 Pr 2.35
O  0.0281  0.2632  0.9753  1 Zr 2.12, 1 Pr 2.35
O  0.2368  0.5247  0.0281  1 Zr 2.12, 1 Pr 2.35
O  0.2368  0.9753  0.4719  1 Zr 2.12, 1 Pr 2.35
O  0.2632  0.5247  0.4719  1 Zr 2.12, 1 Pr 2.35
O  0.2632  0.9753  0.0281  1 Zr 2.12, 1 Pr 2.35
O  0.4719  0.2368  0.9753  1 Zr 2.12, 1 Pr 2.35
O  0.4719  0.2632  0.5247  1 Zr 2.12, 1 Pr 2.35
O  0.4753  0.5281  0.7368  1 Zr 2.12, 1 Pr 2.35
O  0.4753  0.9719  0.7632  1 Zr 2.12, 1 Pr 2.35
O  0.5247  0.0281  0.2368  1 Zr 2.12, 1 Pr 2.35
O  0.5247  0.4719  0.2632  1 Zr 2.12, 1 Pr 2.35
O  0.5281  0.7368  0.4753  1 Zr 2.12, 1 Pr 2.35
O  0.5281  0.7632  0.0247  1 Zr 2.12, 1 Pr 2.35
O  0.7368  0.0247  0.9719  1 Zr 2.12, 1 Pr 2.35
O  0.7368  0.4753  0.5281  1 Zr 2.12, 1 Pr 2.35
O  0.7632  0.0247  0.5281  1 Zr 2.12, 1 Pr 2.35
O  0.7632  0.4753  0.9719  1 Zr 2.12, 1 Pr 2.35
O  0.9719  0.7368  0.0247  1 Zr 2.12, 1 Pr 2.35
O  0.9719  0.7632  0.4753  1 Zr 2.12, 1 Pr 2.35
O  0.9753  0.0281  0.2632  1 Zr 2.12, 1 Pr 2.35
O  0.9753  0.4719  0.2368  1 Zr 2.12, 1 Pr 2.35



2.
Here is a geometry-optimized Tb2MnGa6 structure from the Materials Project database. Energies are from PBE.

DFT formation energy: -459 kJ/mol of formula units
energy: -4.595 eV per atom

abc: 6.2066 6.2066 6.2066
angles: 60.00 60.00 60.00
Closest atoms and distances in Å follow each position.
Fractional coordinates of all 9 atoms:
Tb  0.2500  0.2500  0.2500  12 Ga 3.12
Tb  0.7500  0.7500  0.7500  12 Ga 3.12
Mn  0.0000  0.0000  0.0000  6 Ga 2.47
Ga  0.2813  0.2813  0.7187  1 Mn 2.47, 4 Ga 2.71
Ga  0.2813  0.7187  0.2813  1 Mn 2.47, 4 Ga 2.71
Ga  0.2813  0.7187  0.7187  1 Mn 2.47, 4 Ga 2.71
Ga  0.7187  0.2813  0.2813  1 Mn 2.47, 4 Ga 2.71
Ga  0.7187  0.2813  0.7187  1 Mn 2.47, 4 Ga 2.71
Ga  0.7187  0.7187  0.2813  1 Mn 2.47, 4 Ga 2.71



3.
Here is a geometry-optimized CaP4O11 structure from the Materials Project database. Energies are from PBE.

DFT formation energy: -4302 kJ/mol of formula units
total moment: 0.0 Bohr magnetons per cell
MP2020-corrected energy: -7.667 eV/atom
energy: -7.195 eV per atom

abc: 8.9063 8.9063 12.9489
angles: 90.00 90.00 87.91
Closest atoms and distances in Å follow each position.
Fractional coordinates of all 64 atoms:
Ca  0.2329  0.7671  0.9695  6 O 2.30-2.37
Ca  0.2671  0.7329  0.4695  6 O 2.30-2.37
Ca  0.7329  0.2671  0.5305  6 O 2.30-2.37
Ca  0.7671  0.2329  0.0305  6 O 2.30-2.37
P  0.0956  0.9044  0.7111  4 O 1.48-1.65
P  0.1130  0.2345  0.6623  4 O 1.47-1.60
P  0.1785  0.1785  0.0000  4 O 1.48-1.66
P  0.2345  0.1130  0.3377  4 O 1.47-1.60
P  0.2655  0.3870  0.8377  4 O 1.47-1.60
P  0.3215  0.3215  0.5000  4 O 1.48-1.66
P  0.3870  0.2655  0.1623  4 O 1.47-1.60
P  0.4044  0.5956  0.2111  4 O 1.48-1.65
P  0.5956  0.4044  0.7889  4 O 1.48-1.65
P  0.6130  0.7345  0.8377  4 O 1.47-1.60
P  0.6785  0.6785  0.5000  4 O 1.48-1.66
P  0.7345  0.6130  0.1623  4 O 1.47-1.60
P  0.7655  0.8870  0.6623  4 O 1.47-1.60
P  0.8215  0.8215  0.0000  4 O 1.48-1.66
P  0.8870  0.7655  0.3377  4 O 1.47-1.60
P  0.9044  0.0956  0.2889  4 O 1.48-1.65
O  0.0210  0.2306  0.9812  1 P 1.48
O  0.0242  0.7242  0.3954  1 P 1.47
O  0.0862  0.1119  0.2720  2 P 1.57-1.65
O  0.1119  0.0862  0.7280  2 P 1.57-1.65
O  0.1386  0.8614  0.6042  1 P 1.48
O  0.1441  0.3559  0.7500  2 P 1.60
O  0.1639  0.8361  0.8047  1 P 1.48
O  0.2166  0.2619  0.4037  2 P 1.58-1.66
O  0.2242  0.5242  0.8954  1 P 1.47
O  0.2306  0.0210  0.0188  1 P 1.48
O  0.2381  0.2834  0.0963  2 P 1.58-1.66
O  0.2619  0.2166  0.5963  2 P 1.58-1.66
O  0.2694  0.4790  0.5188  1 P 1.48
O  0.2758  0.9758  0.3954  1 P 1.47
O  0.2834  0.2381  0.9037  2 P 1.58-1.66
O  0.3361  0.6639  0.3047  1 P 1.48
O  0.3559  0.1441  0.2500  2 P 1.60
O  0.3614  0.6386  0.1042  1 P 1.48
O  0.3881  0.4138  0.2280  2 P 1.57-1.65
O  0.4138  0.3881  0.7720  2 P 1.57-1.65
O  0.4758  0.7758  0.8954  1 P 1.47
O  0.4790  0.2694  0.4812  1 P 1.48
O  0.5210  0.7306  0.5188  1 P 1.48
O  0.5242  0.2242  0.1046  1 P 1.47
O  0.5862  0.6119  0.2280  2 P 1.57-1.65
O  0.6119  0.5862  0.7720  2 P 1.57-1.65
O  0.6386  0.3614  0.8958  1 P 1.48
O  0.6441  0.8559  0.7500  2 P 1.60
O  0.6639  0.3361  0.6953  1 P 1.48
O  0.7166  0.7619  0.0963  2 P 1.58-1.66
O  0.7242  0.0242  0.6046  1 P 1.47
O  0.7306  0.5210  0.4812  1 P 1.48
O  0.7381  0.7834  0.4037  2 P 1.58-1.66
O  0.7619  0.7166  0.9037  2 P 1.58-1.66
O  0.7694  0.9790  0.9812  1 P 1.48
O  0.7758  0.4758  0.1046  1 P 1.47
O  0.7834  0.7381  0.5963  2 P 1.58-1.66
O  0.8361  0.1639  0.1953  1 P 1.48
O  0.8559  0.6441  0.2500  2 P 1.60
O  0.8614  0.1386  0.3958  1 P 1.48
O  0.8881  0.9138  0.2720  2 P 1.57-1.65
O  0.9138  0.8881  0.7280  2 P 1.57-1.65
O  0.9758  0.2758  0.6046  1 P 1.47
O  0.9790  0.7694  0.0188  1 P 1.48



4.
Here is a geometry-optimized Sb8Pd3Au structure from the Materials Project database. Energies are from PBE.

DFT formation energy: -336 kJ/mol of formula units
energy: -4.611 eV per atom

abc: 6.6218 6.6218 6.6218
angles: 89.70 89.70 89.70
Closest atoms and distances in Å follow each position.
Fractional coordinates of all 12 atoms:
Sb  0.1169  0.3703  0.6290  2 Pd 2.71-2.72, 1 Au 2.81, 1 Sb 2.87
Sb  0.1256  0.1256  0.1256  3 Pd 2.74, 1 Sb 2.89
Sb  0.3703  0.6290  0.1169  2 Pd 2.71-2.72, 1 Au 2.81, 1 Sb 2.87
Sb  0.3710  0.8831  0.6297  2 Pd 2.71-2.72, 1 Au 2.81, 1 Sb 2.87
Sb  0.6290  0.1169  0.3703  2 Pd 2.71-2.72, 1 Au 2.81, 1 Sb 2.87
Sb  0.6297  0.3710  0.8831  2 Pd 2.71-2.72, 1 Au 2.81, 1 Sb 2.87
Sb  0.8744  0.8744  0.8744  3 Pd 2.74, 1 Sb 2.89
Sb  0.8831  0.6297  0.3710  2 Pd 2.71-2.72, 1 Au 2.81, 1 Sb 2.87
Pd  0.0000  0.0000  0.5000  6 Sb 2.71-2.74
Pd  0.0000  0.5000  0.0000  6 Sb 2.71-2.74
Pd  0.5000  0.0000  0.0000  6 Sb 2.71-2.74
Au  0.5000  0.5000  0.5000  6 Sb 2.81



5.
Here is a geometry-optimized BaMgCuS2 structure from the Materials Project database. Energies are from PBE.

DFT formation energy: -554 kJ/mol of formula units
total moment: 0.0 Bohr magnetons per cell
MP2020-corrected energy: -4.327 eV/atom
energy: -4.125 eV per atom

abc: 5.4067 3.7677 5.5271
angles: 90.00 97.00 90.00
Closest atoms and distances in Å follow each position.
Fractional coordinates of all 5 atoms:
Ba  0.0000  0.0000  0.0000  8 S 3.26-3.45, 2 Cu 3.35, 1 Mg 3.36
Mg  0.4055  0.0000  0.5856  4 S 2.69, 2 Cu 2.80
Cu  0.6520  0.5000  0.3276  2 S 2.24
S  0.0530  0.5000  0.4852  1 Cu 2.24
S  0.5042  0.5000  0.9313  1 Cu 2.24



6.
Here is a geometry-optimized Er2Ni12As7 structure from the Materials Project database. Energies are from PBE.

DFT formation energy: -1074 kJ/mol of formula units
energy: -5.821 eV per atom

abc: 9.3393 9.3393 3.8169
angles: 90.00 90.00 120.00
Closest atoms and distances in Å follow each position.
Fractional coordinates of all 21 atoms:
Er  0.0000  0.0000  0.0000  6 As 2.96, 12 Ni 3.13-3.26
Er  0.3333  0.6667  0.5000  6 As 2.95, 9 Ni 3.06-3.21
Ni  0.0459  0.7600  0.5000  4 As 2.35-2.42
Ni  0.1047  0.3893  0.0000  4 As 2.32-2.40, 1 Ni 2.56
Ni  0.2400  0.2859  0.5000  4 As 2.35-2.42
Ni  0.2846  0.8953  0.0000  4 As 2.32-2.40, 1 Ni 2.56
Ni  0.3863  0.2061  0.0000  4 As 2.27-2.38
Ni  0.5505  0.1215  0.5000  5 As 2.43-2.62, 1 Ni 2.68
Ni  0.5710  0.4495  0.5000  5 As 2.43-2.62, 1 Ni 2.68
Ni  0.6107  0.7154  0.0000  4 As 2.32-2.40, 1 Ni 2.56
Ni  0.7141  0.9541  0.5000  4 As 2.35-2.42
Ni  0.7939  0.1802  0.0000  4 As 2.27-2.38
Ni  0.8198  0.6137  0.0000  4 As 2.27-2.38
Ni  0.8785  0.4290  0.5000  5 As 2.43-2.62, 1 Ni 2.68
As  0.0719  0.6196  0.0000  5 Ni 2.32-2.40
As  0.2589  0.0369  0.5000  7 Ni 2.35-2.43
As  0.3804  0.4522  0.0000  5 Ni 2.32-2.40
As  0.5478  0.9281  0.0000  5 Ni 2.32-2.40
As  0.6667  0.3333  0.0000  3 Ni 2.27
As  0.7780  0.7411  0.5000  7 Ni 2.35-2.43
As  0.9631  0.2220  0.5000  7 Ni 2.35-2.43



7.
Here is a geometry-optimized K3Sr structure from the Materials Project database. Energies are from PBE.

DFT formation energy: 52 kJ/mol of formula units
total moment: 0.5 Bohr magnetons per cell
energy: -1.120 eV per atom

abc: 8.1881 8.1881 8.1881
angles: 134.39 134.39 66.47
Closest atoms and distances in Å follow each position.
Fractional coordinates of all 4 atoms:
K  0.0000  0.0000  0.0000  4 Sr 4.49, 8 K 4.67
K  0.2500  0.7500  0.5000  8 K 4.49-4.67, 4 Sr 4.67
K  0.7500  0.2500  0.5000  8 K 4.49-4.67, 4 Sr 4.67
Sr  0.5000  0.5000  0.0000  12 K 4.49-4.67



8.
Here is a geometry-optimized Pu2US5 structure from the Materials Project database. Energies are from PBE.

DFT formation energy: -1502 kJ/mol of formula units
MP2020-corrected energy: -9.509 eV/atom
energy: -9.195 eV per atom

abc: 11.2816 7.8359 7.2029
angles: 90.00 90.00 90.00
Closest atoms and distances in Å follow each position.
Fractional coordinates of all 32 atoms:
Pu  0.1785  0.0027  0.0242  8 S 2.75-2.93
Pu  0.1785  0.4973  0.0242  8 S 2.75-2.93
Pu  0.3215  0.5027  0.5242  8 S 2.75-2.93
Pu  0.3215  0.9973  0.5242  8 S 2.75-2.93
Pu  0.6785  0.0027  0.4758  8 S 2.75-2.93
Pu  0.6785  0.4973  0.4758  8 S 2.75-2.93
Pu  0.8215  0.5027  0.9758  8 S 2.75-2.93
Pu  0.8215  0.9973  0.9758  8 S 2.75-2.93
U  0.0114  0.2500  0.5798  7 S 2.61-2.78
U  0.4886  0.7500  0.0798  7 S 2.61-2.78
U  0.5114  0.2500  0.9202  7 S 2.61-2.78
U  0.9886  0.7500  0.4202  7 S 2.61-2.78
S  0.0013  0.7500  0.0346  1 U 2.78, 4 Pu 2.81-2.84
S  0.0947  0.5498  0.6704  2 U 2.61-2.67, 2 Pu 2.75-2.79
S  0.0947  0.9502  0.6704  2 U 2.61-2.67, 2 Pu 2.75-2.79
S  0.1911  0.2500  0.3282  1 U 2.72, 4 Pu 2.84-2.93
S  0.2211  0.7500  0.2976  1 U 2.77, 4 Pu 2.77-2.83
S  0.2789  0.2500  0.7976  1 U 2.77, 4 Pu 2.77-2.83
S  0.3089  0.7500  0.8282  1 U 2.72, 4 Pu 2.84-2.93
S  0.4053  0.0498  0.1704  2 U 2.61-2.67, 2 Pu 2.75-2.79
S  0.4053  0.4502  0.1704  2 U 2.61-2.67, 2 Pu 2.75-2.79
S  0.4987  0.2500  0.5346  1 U 2.78, 4 Pu 2.81-2.84
S  0.5013  0.7500  0.4654  1 U 2.78, 4 Pu 2.81-2.84
S  0.5947  0.5498  0.8296  2 U 2.61-2.67, 2 Pu 2.75-2.79
S  0.5947  0.9502  0.8296  2 U 2.61-2.67, 2 Pu 2.75-2.79
S  0.6911  0.2500  0.1718  1 U 2.72, 4 Pu 2.84-2.93
S  0.7211  0.7500  0.2024  1 U 2.77, 4 Pu 2.77-2.83
S  0.7789  0.2500  0.7024  1 U 2.77, 4 Pu 2.77-2.83
S  0.8089  0.7500  0.6718  1 U 2.72, 4 Pu 2.84-2.93
S  0.9053  0.0498  0.3296  2 U 2.61-2.67, 2 Pu 2.75-2.79
S  0.9053  0.4502  0.3296  2 U 2.61-2.67, 2 Pu 2.75-2.79
S  0.9987  0.2500  0.9654  1 U 2.78, 4 Pu 2.81-2.84